No. 1
## VFeSe (GGA-PBE)

Data for a relaxed VFeSe crystal.

The formation energy is -0.314 eV per atom. As for the total energy after the MP2020 corrections: -0.2694 hartree per atom. As for the energy: -7.173 eV per atom. Its crystal system is cubic.

The structure belongs to space group F-43m (No. 216); the cell edges are 5.574, 5.574 and 5.574 Å and the angles 90.00°, 90.00° and 90.00°. The distinct sites, in fractional coordinates, are V at (0.000, 0.000, 0.000), Fe at (0.250, 0.250, 0.250) and Se at (0.000, 0.000, 0.500).

No. 2
## ScH8N3F6 (GGA-PBE)

Data for a relaxed ScH8N3F6 crystal.

The formation energy is -1.332 eV per atom. As for the total energy after the MP2020 corrections: -0.1918 hartree per atom. As for the energy: -5.065 eV per atom. Its crystal system is monoclinic.

The structure belongs to space group P2_1/c (No. 14); the cell edges are 6.521, 6.519 and 11.478 Å and the angles 90.00°, 124.13° and 90.00°. The distinct sites, in fractional coordinates, are Sc at (0.000, 0.000, 0.000), H at (0.108, 0.075, 0.663), H at (0.215, 0.666, 0.229), H at (0.251, 0.030, 0.837), H at (0.418, 0.021, 0.765), N at (0.247, 0.511, 0.249), N at (0.500, 0.000, 0.500), F at (0.101, 0.735, 0.953), F at (0.235, 0.155, 0.967) and F at (0.281, 0.546, 0.706).

No. 3
## Ca2Mg (GGA-PBE)

Data for a relaxed Ca2Mg crystal.

The formation energy is 0.030 eV per atom. As for the energy: -1.840 eV per atom. Its crystal system is trigonal.

The structure belongs to space group R32 (No. 155, hexagonal axes); the cell edges are 6.3688, 6.3688 and 18.1771 Å and the angles 90.00°, 90.00° and 120.00°. The distinct sites, in fractional coordinates, are Ca at (0.0000, 0.0000, 0.0000), Ca at (0.0000, 0.6715, 0.5000) and Mg at (0.0000, 0.0000, 0.3334).